a.
{
  "formula": "TlF",
  "functional": "PBE",
  "state": "relaxed",
  "lattice": [[6.386, 0.000, 0.000], [0.000, 5.817, 0.000], [0.000, 0.000, 5.237]],
  "species": ["Tl", "Tl", "Tl", "Tl", "F", "F", "F", "F"],
  "fractional_positions": [[0.242, 0.002, 0.250], [0.242, 0.498, 0.750], [0.758, 0.502, 0.250], [0.758, 0.998, 0.750], [0.143, 0.576, 0.250], [0.143, 0.924, 0.750], [0.857, 0.076, 0.250], [0.857, 0.424, 0.750]],
  "crystal_system": "orthorhombic"
}


b.
{
  "formula": "TlF",
  "functional": "PBE",
  "state": "relaxed",
  "lattice": [[3.843, 0.000, 0.000], [0.000, 3.843, 0.000], [0.000, 0.000, 6.317]],
  "species": ["Tl", "Tl", "F", "F"],
  "fractional_positions": [[0.250, 0.250, 0.247], [0.750, 0.750, 0.753], [0.250, 0.250, 0.853], [0.750, 0.750, 0.147]],
  "crystal_system": "tetragonal"
}


c.
{
  "formula": "TlF",
  "functional": "PBE",
  "state": "relaxed",
  "lattice": [[0.000, 2.841, 2.841], [2.841, 0.000, 2.841], [2.841, 2.841, 0.000]],
  "species": ["Tl", "F"],
  "fractional_positions": [[0.000, 0.000, 0.000], [0.500, 0.500, 0.500]],
  "crystal_system": "cubic"
}


Most stable: a


a.
{
  "formula": "Fe",
  "functional": "PBE",
  "state": "relaxed",
  "lattice": [[0.000, 1.823, 1.823], [1.823, 0.000, 1.823], [1.823, 1.823, 0.000]],
  "species": ["Fe"],
  "fractional_positions": [[0.000, 0.000, 0.000]],
  "crystal_system": "cubic"
}


b.
{
  "formula": "Fe",
  "functional": "PBE",
  "state": "relaxed",
  "lattice": [[10.406, 0.000, 0.000], [-0.217, 10.454, 0.000], [-0.091, -0.379, 10.702]],
  "species": ["Fe", "Fe", "Fe", "Fe", "Fe", "Fe", "Fe", "Fe", "Fe", "Fe", "Fe", "Fe", "Fe", "Fe", "Fe", "Fe", "Fe", "Fe", "Fe", "Fe", "Fe", "Fe", "Fe", "Fe", "Fe", "Fe", "Fe", "Fe", "Fe", "Fe", "Fe", "Fe", "Fe", "Fe", "Fe", "Fe", "Fe", "Fe", "Fe", "Fe", "Fe", "Fe", "Fe", "Fe", "Fe", "Fe", "Fe", "Fe", "Fe", "Fe", "Fe", "Fe", "Fe", "Fe", "Fe", "Fe", "Fe", "Fe", "Fe", "Fe", "Fe", "Fe", "Fe", "Fe", "Fe", "Fe", "Fe", "Fe", "Fe", "Fe", "Fe", "Fe", "Fe", "Fe", "Fe", "Fe", "Fe", "Fe", "Fe", "Fe", "Fe", "Fe", "Fe", "Fe", "Fe", "Fe", "Fe", "Fe", "Fe", "Fe", "Fe", "Fe", "Fe", "Fe", "Fe", "Fe", "Fe", "Fe", "Fe", "Fe"],
  "fractional_positions": [[0.000, 0.000, 0.000], [0.000, 0.614, 0.471], [0.005, 0.124, 0.589], [0.014, 0.029, 0.372], [0.019, 0.899, 0.579], [0.029, 0.902, 0.801], [0.034, 0.216, 0.005], [0.036, 0.874, 0.174], [0.076, 0.182, 0.218], [0.077, 0.269, 0.427], [0.090, 0.800, 0.380], [0.091, 0.416, 0.114], [0.109, 0.335, 0.857], [0.120, 0.645, 0.071], [0.134, 0.518, 0.694], [0.144, 0.297, 0.642], [0.145, 0.586, 0.289], [0.153, 0.708, 0.840], [0.164, 0.473, 0.477], [0.170, 0.730, 0.594], [0.192, 0.866, 0.994], [0.194, 0.103, 0.847], [0.205, 0.077, 0.067], [0.212, 0.962, 0.497], [0.217, 0.979, 0.269], [0.220, 0.504, 0.926], [0.238, 0.356, 0.287], [0.243, 0.912, 0.721], [0.254, 0.769, 0.214], [0.255, 0.157, 0.418], [0.266, 0.301, 0.035], [0.285, 0.134, 0.639], [0.307, 0.522, 0.138], [0.335, 0.789, 0.433], [0.338, 0.163, 0.213], [0.340, 0.596, 0.559], [0.343, 0.318, 0.793], [0.346, 0.363, 0.557], [0.349, 0.611, 0.774], [0.362, 0.689, 0.012], [0.367, 0.545, 0.347], [0.398, 0.865, 0.887], [0.403, 0.941, 0.111], [0.436, 0.999, 0.551], [0.438, 0.173, 0.980], [0.438, 0.992, 0.337], [0.449, 0.057, 0.779], [0.454, 0.450, 0.955], [0.458, 0.794, 0.649], [0.466, 0.269, 0.389], [0.467, 0.358, 0.175], [0.475, 0.748, 0.252], [0.521, 0.224, 0.629], [0.533, 0.666, 0.473], [0.534, 0.503, 0.636], [0.553, 0.572, 0.131], [0.556, 0.131, 0.193], [0.560, 0.635, 0.842], [0.579, 0.481, 0.361], [0.581, 0.782, 0.025], [0.601, 0.357, 0.806], [0.605, 0.013, 0.001], [0.611, 0.872, 0.811], [0.618, 0.872, 0.456], [0.632, 0.120, 0.429], [0.632, 0.916, 0.226], [0.645, 0.293, 0.039], [0.646, 0.016, 0.643], [0.677, 0.146, 0.831], [0.678, 0.354, 0.511], [0.680, 0.707, 0.646], [0.686, 0.297, 0.281], [0.693, 0.700, 0.314], [0.709, 0.517, 0.961], [0.755, 0.497, 0.216], [0.763, 0.569, 0.490], [0.765, 0.693, 0.104], [0.766, 0.502, 0.726], [0.780, 0.211, 0.638], [0.782, 0.719, 0.858], [0.796, 0.090, 0.229], [0.805, 0.902, 0.074], [0.808, 0.961, 0.871], [0.820, 0.880, 0.676], [0.821, 0.013, 0.485], [0.822, 0.134, 0.013], [0.843, 0.343, 0.919], [0.849, 0.880, 0.290], [0.853, 0.781, 0.473], [0.864, 0.229, 0.402], [0.879, 0.304, 0.147], [0.913, 0.527, 0.067], [0.922, 0.408, 0.541], [0.933, 0.673, 0.251], [0.939, 0.136, 0.804], [0.940, 0.355, 0.732], [0.940, 0.676, 0.677], [0.959, 0.761, 0.982], [0.963, 0.435, 0.314], [0.971, 0.544, 0.865]],
  "crystal_system": "triclinic",
  "magnetic_moment_mub_per_atom": 2.05
}


c.
{
  "formula": "Fe",
  "functional": "PBE",
  "state": "relaxed",
  "lattice": [[-1.934, 0.500, 1.424], [1.289, -1.661, 1.263], [4.047, 5.778, 3.469]],
  "species": ["Fe", "Fe", "Fe", "Fe"],
  "fractional_positions": [[0.500, 0.500, 0.250], [0.000, 0.000, 0.500], [0.000, 0.000, 0.000], [0.500, 0.500, 0.750]],
  "magnetic_moment_mub_per_atom": 2.20
}


Most stable: c


a.
{
  "formula": "Fe",
  "functional": "PBE",
  "state": "relaxed",
  "lattice": [[-1.420, 1.420, 1.420], [1.420, -1.420, 1.420], [1.420, 1.420, -1.420]],
  "species": ["Fe"],
  "fractional_positions": [[0.000, 0.000, 0.000]],
  "crystal_system": "cubic"
}


b.
{
  "formula": "Fe",
  "functional": "PBE",
  "state": "relaxed",
  "lattice": [[2.466, 0.000, 0.000], [-1.233, 2.135, 0.000], [0.000, 0.000, 3.900]],
  "species": ["Fe", "Fe"],
  "fractional_positions": [[0.333, 0.667, 0.250], [0.667, 0.333, 0.750]],
  "crystal_system": "hexagonal"
}


c.
{
  "formula": "Fe",
  "functional": "PBE",
  "state": "relaxed",
  "lattice": [[2.328, -0.194, -0.710], [1.146, 1.989, 3.247], [0.350, -3.785, 2.192]],
  "species": ["Fe", "Fe", "Fe", "Fe"],
  "fractional_positions": [[0.874, 0.500, 0.284], [0.374, 0.500, 0.784], [0.876, 0.000, 0.966], [0.376, 0.000, 0.466]]
}


Most stable: a